# 1
14
Lattice="0.000 -4.476 0.000 6.716 -2.238 -4.962 6.712 -2.238 5.018" Properties=species:S:1:pos:R:3 comment="Pr3Sb4Pt7, relaxed, DFT PBE-GGA" sg="No. 12" final_energy_ev_per_atom=-6.08 pbc="T T T"
Pt 10.927 -4.476 1.411
Pt 6.712 -2.238 2.263
Pt 8.483 -4.476 -2.291
Pt 6.714 -4.476 0.028
Pt 6.716 -6.713 -2.207
Pt 4.945 -4.476 2.347
Pt 2.501 -4.476 -1.355
Sb 2.366 -4.476 1.292
Sb 5.086 -4.476 -2.212
Sb 8.342 -4.476 2.268
Sb 11.062 -4.476 -1.236
Pr 0.000 -2.238 0.000
Pr 8.973 -6.713 -0.066
Pr 4.455 -2.238 0.122

# 2
20
Lattice="7.971 -3.408 0.024 -5.427 -5.312 4.183 -2.684 1.016 -8.181" Properties=species:S:1:pos:R:3 comment="Pr3Sb4Pt3, relaxed, DFT PBE-GGA" sg="No. 220" final_energy_ev_per_atom=-5.93 pbc="T T T"
Sb -1.417 -3.210 2.096
Sb 3.549 -1.539 -1.318
Sb 2.207 -1.031 -5.409
Sb 2.569 -4.914 2.108
Sb -0.047 -2.599 -1.341
Sb -2.224 -0.356 -3.410
Sb -0.116 -6.451 -3.327
Sb -4.938 -3.012 -1.319
Pt -2.405 -3.791 -0.447
Pt -0.045 -1.971 -4.058
Pt 4.284 -2.884 -5.592
Pt -5.422 -3.521 -4.018
Pt 2.276 -3.868 -0.461
Pt 0.895 -7.077 2.656
Pr -2.415 -3.836 -3.512
Pr 2.266 -3.913 -3.526
Pr -4.423 -4.820 1.618
Pr 5.283 -4.183 0.044
Pr -0.094 -5.733 0.085
Pr -1.034 -0.627 -6.629

# 3
6
Lattice="3.972 1.787 -1.458 -3.364 -0.874 -3.002 -2.974 7.540 1.138" Properties=species:S:1:pos:R:3 comment="PrSbPt, relaxed, DFT PBE-GGA" sg="No. 186" final_energy_ev_per_atom=-6.10 pbc="T T T"
Pr -0.746 1.890 0.285
Pr -2.233 5.660 0.854
Sb -2.444 3.881 -1.904
Sb 1.488 0.998 -1.958
Pt 0.152 4.385 -1.447
Pt -3.780 7.268 -1.393

# 4
78
Lattice="-4.806 -4.715 12.418 -5.397 11.837 5.505 -2.825 -5.420 -12.735" Properties=species:S:1:pos:R:3 comment="Pr8Sb14Pt17, relaxed, DFT PBE-GGA" sg="No. 108" final_energy_ev_per_atom=-5.96 pbc="T T T"
Sb -9.540 5.433 6.694
Sb -8.943 6.243 15.711
Sb -11.379 2.406 7.250
Sb -8.204 6.066 3.576
Sb -3.842 2.682 6.749
Sb -7.909 -2.210 7.033
Sb -9.556 6.957 11.374
Sb -3.910 -1.700 7.911
Sb -4.258 -3.193 -0.152
Sb -6.030 9.895 7.319
Sb -9.523 2.718 13.077
Sb -8.208 -3.719 -1.792
Sb -8.492 6.547 -1.139
Sb -8.169 -5.820 3.959
Sb -2.726 0.048 -0.169
Sb -4.567 3.246 2.407
Sb -7.765 -0.877 10.212
Sb -2.481 -2.396 -4.279
Sb -6.034 3.117 -3.670
Sb -8.310 -1.878 2.313
Sb -6.291 -0.788 -1.866
Sb -6.184 1.354 -7.877
Sb -4.300 -0.938 4.222
Sb -5.897 6.173 8.873
Sb -8.343 2.361 0.610
Sb -7.614 2.050 4.313
Sb -8.075 -7.441 -0.238
Sb -7.814 3.242 8.947
Pt -8.236 -3.239 4.597
Pt -8.081 1.720 11.160
Pt -10.065 5.365 13.413
Pt -5.725 -5.225 -6.470
Pt -7.376 1.678 -1.703
Pt -0.010 0.007 0.017
Pt -3.307 -1.586 1.910
Pt -5.540 -2.606 5.881
Pt -7.582 2.165 -5.816
Pt -6.753 -6.853 2.041
Pt -9.460 4.863 0.803
Pt -10.968 2.280 0.845
Pt -5.111 3.568 8.979
Pt -8.828 2.717 6.536
Pt -8.201 3.709 15.132
Pt -6.148 -5.224 -0.334
Pt -4.956 1.596 4.538
Pt -3.141 2.672 0.313
Pt -6.852 -5.219 6.293
Pt -5.000 5.909 2.926
Pt -4.954 -0.806 10.141
Pt -3.708 -1.358 -2.211
Pt -7.511 5.441 -3.275
Pt -7.717 7.511 6.994
Pt -9.104 0.623 2.564
Pt -4.010 -2.729 -6.485
Pt -9.407 0.784 8.705
Pt -3.241 4.092 4.523
Pt -7.133 3.945 2.370
Pt -7.234 6.761 1.194
Pt -4.458 1.502 -2.045
Pt -7.018 -0.562 4.348
Pt -8.546 5.829 9.262
Pt -6.911 -2.431 0.195
Pr -5.809 0.370 1.350
Pr -6.912 4.825 12.143
Pr -5.859 4.429 -0.544
Pr -5.563 -3.847 2.912
Pr -10.909 3.908 10.321
Pr -6.241 4.772 5.794
Pr -5.221 -4.163 -3.356
Pr -6.347 0.597 7.392
Pr -1.811 1.264 3.181
Pr -6.189 -3.827 9.240
Pr -6.380 8.668 4.166
Pr -10.478 3.778 3.776
Pr -7.105 8.984 10.469
Pr -5.115 0.012 -4.955
Pr -9.613 -4.706 1.201
Pr -10.079 -0.278 5.616

# 5
9
Lattice="4.047 3.202 5.682 -6.877 2.840 -1.887 -1.816 -2.575 2.744" Properties=species:S:1:pos:R:3 comment="PrSnPt, relaxed, DFT PBE-GGA" sg="No. 189" final_energy_ev_per_atom=-5.98 pbc="T T T"
Sn 2.117 1.107 5.620
Sn -6.050 0.836 -0.039
Sn -1.622 0.238 2.330
Pr -1.668 3.561 2.237
Pr -2.824 1.166 -0.775
Pr 1.662 1.315 2.334
Pt 0.000 0.000 0.000
Pt -4.144 1.673 2.008
Pt -0.503 1.794 4.531

# 6
12
Lattice="4.660 0.000 0.000 0.000 7.541 0.000 0.000 0.000 8.157" Properties=species:S:1:pos:R:3 comment="PrSnPt, relaxed, DFT PBE-GGA" sg="No. 62" final_energy_ev_per_atom=-5.98 pbc="T T T"
Pr 1.165 0.095 2.498
Pr 3.495 7.447 5.660
Pr 1.165 3.865 1.581
Pr 3.495 3.676 6.577
Pt 1.165 2.188 4.829
Pt 3.495 1.583 0.750
Pt 1.165 5.959 7.407
Pt 3.495 5.353 3.329
Sn 1.165 5.094 4.762
Sn 1.165 1.323 7.474
Sn 3.495 2.448 3.395
Sn 3.495 6.218 0.684